Record 1
Computed, not measured: crystalline Ba3LiTi3O8 at its relaxed geometry at the PBE level of DFT.

Results
- Crystal system: monoclinic
- Total magnetic moment: 0.991 μB per formula unit
- Relative energy among the computed polymorphs: 41 meV per atom

Unit cell a=10.350 b=5.860 c=7.673 alpha=90.00 beta=101.82 gamma=90.00
Space group Cm (No. 8)
Symmetry-distinct sites (fractional):
Ba 0.000 0.000 0.000 (multiplicity 2)
Ba 0.124 0.500 0.747 (multiplicity 2)
Ba 0.253 0.000 0.422 (multiplicity 2)
Li 0.274 0.500 0.164 (multiplicity 2)
Ti 0.054 0.500 0.307 (multiplicity 2)
Ti 0.299 0.000 0.876 (multiplicity 2)
Ti 0.434 0.500 0.565 (multiplicity 2)
O 0.128 0.000 0.702 (multiplicity 2)
O 0.234 0.500 0.398 (multiplicity 2)
O 0.267 0.238 0.015 (multiplicity 4)
O 0.385 0.250 0.704 (multiplicity 4)
O 0.487 0.263 0.376 (multiplicity 4)

Record 2
Computed, not measured: crystalline Tm2SnAu2 at its relaxed geometry at the PBE level of DFT.

Results
- Crystal system: tetragonal
- Total magnetic moment: 0.000 μB per formula unit

Unit cell a=7.849 b=7.849 c=7.475 alpha=90.00 beta=90.00 gamma=90.00
Space group P4_2/mnm (No. 136)
Symmetry-distinct sites (fractional):
Tm 0.161 0.161 0.000 (multiplicity 4)
Tm 0.178 0.178 0.500 (multiplicity 4)
Sn 0.000 0.500 0.250 (multiplicity 4)
Au 0.128 0.872 0.267 (multiplicity 8)

Record 3
Computed, not measured: crystalline BaBr3 at its relaxed geometry at the PBE level of DFT.

Results
- Crystal system: hexagonal
- Total magnetic moment: 0.999 μB per formula unit

Unit cell a=6.9226 b=6.9226 c=6.2563 alpha=90.00 beta=90.00 gamma=120.00
Space group P6_3/mmc (No. 194)
Symmetry-distinct sites (fractional):
Ba 0.3333 0.6667 0.2500 (multiplicity 2)
Br 0.1718 0.3437 0.7500 (multiplicity 6)

Record 4
Computed, not measured: crystalline Li6ErB3O9 at its relaxed geometry at the PBE level of DFT.

Results
- Crystal system: monoclinic

Unit cell a=7.248 b=16.519 c=6.681 alpha=90.00 beta=105.58 gamma=90.00
Space group P2_1/c (No. 14)
Symmetry-distinct sites (fractional):
Li 0.044 0.027 0.173 (multiplicity 4)
Li 0.071 0.704 0.041 (multiplicity 4)
Li 0.193 0.533 0.054 (multiplicity 4)
Li 0.212 0.208 0.864 (multiplicity 4)
Li 0.365 0.056 0.902 (multiplicity 4)
Li 0.426 0.006 0.321 (multiplicity 4)
Er 0.423 0.690 0.846 (multiplicity 4)
B 0.062 0.618 0.688 (multiplicity 4)
B 0.213 0.121 0.501 (multiplicity 4)
B 0.417 0.636 0.338 (multiplicity 4)
O 0.037 0.087 0.415 (multiplicity 4)
O 0.083 0.701 0.728 (multiplicity 4)
O 0.106 0.081 0.924 (multiplicity 4)
O 0.225 0.571 0.772 (multiplicity 4)
O 0.238 0.202 0.558 (multiplicity 4)
O 0.362 0.686 0.164 (multiplicity 4)
O 0.380 0.074 0.546 (multiplicity 4)
O 0.410 0.553 0.324 (multiplicity 4)
O 0.489 0.674 0.529 (multiplicity 4)

Record 5
Computed, not measured: crystalline Ho2AgOs at its relaxed geometry at the PBE level of DFT.

Results
- Crystal system: cubic
- Total magnetic moment: 0.000 μB per formula unit

Unit cell a=6.976 b=6.976 c=6.976 alpha=90.00 beta=90.00 gamma=90.00
Space group Fm-3m (No. 225)
Symmetry-distinct sites (fractional):
Ho 0.250 0.250 0.250 (multiplicity 8)
Ag 0.000 0.000 0.000 (multiplicity 4)
Os 0.000 0.000 0.500 (multiplicity 4)

Record 6
Computed, not measured: crystalline NdSi2Ni at its relaxed geometry at the PBE level of DFT.

Results
- Crystal system: orthorhombic

Unit cell a=4.146 b=16.427 c=4.068 alpha=90.00 beta=90.00 gamma=90.00
Space group Cmcm (No. 63)
Symmetry-distinct sites (fractional):
Nd 0.000 0.107 0.250 (multiplicity 4)
Si 0.000 0.250 0.750 (multiplicity 4)
Si 0.000 0.459 0.250 (multiplicity 4)
Ni 0.000 0.319 0.250 (multiplicity 4)

Record 7
Computed, not measured: crystalline CuH12I4N4 at its relaxed geometry at the PBE level of DFT.

Results
- Crystal system: monoclinic
- Total magnetic moment: 1.000 μB per formula unit

Unit cell a=11.997 b=9.137 c=6.645 alpha=90.00 beta=110.92 gamma=90.00
Space group C2/m (No. 12)
Symmetry-distinct sites (fractional):
Cu 0.000 0.000 0.000 (multiplicity 2)
H 0.046 0.256 0.188 (multiplicity 8)
H 0.109 0.128 0.367 (multiplicity 8)
H 0.172 0.179 0.194 (multiplicity 8)
I 0.089 0.500 0.719 (multiplicity 4)
I 0.206 0.000 0.785 (multiplicity 4)
N 0.091 0.158 0.210 (multiplicity 8)

Record 8
Computed, not measured: crystalline NaAlH8N4 at its relaxed geometry at the PBE level of DFT.

Results
- Crystal system: monoclinic
- Total magnetic moment: 0.000 μB per formula unit
- Relative energy among the computed polymorphs: 87 meV per atom

Unit cell a=7.924 b=7.321 c=11.155 alpha=90.00 beta=104.04 gamma=90.00
Space group P2_1/c (No. 14)
Symmetry-distinct sites (fractional):
Na 0.248 0.207 0.235 (multiplicity 4)
Al 0.420 0.019 0.606 (multiplicity 4)
H 0.017 0.647 0.981 (multiplicity 4)
H 0.064 0.662 0.048 (multiplicity 4)
H 0.089 0.080 0.937 (multiplicity 4)
H 0.211 0.665 0.462 (multiplicity 4)
H 0.238 0.566 0.873 (multiplicity 4)
H 0.323 0.220 0.559 (multiplicity 4)
H 0.328 0.637 0.355 (multiplicity 4)
H 0.426 0.643 0.507 (multiplicity 4)
N 0.062 0.119 0.837 (multiplicity 4)
N 0.074 0.556 0.726 (multiplicity 4)
N 0.327 0.698 0.439 (multiplicity 4)
N 0.354 0.605 0.937 (multiplicity 4)

Energy of formation from the pure elements values (in meV per atom) by entry order: -3010; -835; -1836; -2823; -302; -824; -410; 47.